Computed, not measured: a relaxed KHg3 crystal at the PBE-GGA level of DFT.

- E_tot (hartree per atom) = -0.026
- calculated volume (Å³/f.u.) = 127
- ρ (g/cm3) = 8.41
- ΔE_f (eV/atom) = -0.215

Unit cell a=6.073 b=6.073 c=6.073 alpha=130.51 beta=130.51 gamma=72.60
Fractional positions:
Hg1 0.250 0.750 0.500
Hg2 0.500 0.500 0.000
Hg3 0.750 0.250 0.500
K1 0.000 0.000 0.000

=====

Computed, not measured: a relaxed Ba2InBiO6 crystal at the PBE-GGA level of DFT.

- E_tot (hartree per atom) = -0.216
- calculated volume (Å³/f.u.) = 160
- ρ (g/cm3) = 7.21
- ΔE_f (eV/atom) = -2.286
- total energy after the MP2020 corrections (eV for the cell shown) = -252.1

Unit cell a=8.618 b=8.618 c=8.618 alpha=90.00 beta=90.00 gamma=90.00
Fractional positions:
Ba1 0.500 0.000 0.000
Ba2 0.000 0.000 0.500
Ba3 0.000 0.000 0.000
Ba4 0.000 0.500 0.000
Ba5 0.500 0.500 0.500
Ba6 0.000 0.500 0.500
Ba7 0.500 0.000 0.500
Ba8 0.500 0.500 0.000
O1 0.229 0.726 0.498
O2 0.774 0.002 0.271
O3 0.226 0.002 0.729
O4 0.774 0.998 0.729
O5 0.498 0.229 0.726
O6 0.729 0.226 0.002
O7 0.002 0.729 0.226
O8 0.502 0.771 0.726
O9 0.771 0.726 0.502
O10 0.002 0.271 0.774
O11 0.226 0.998 0.271
O12 0.998 0.729 0.774
O13 0.726 0.502 0.771
O14 0.771 0.274 0.498
O15 0.271 0.226 0.998
O16 0.498 0.771 0.274
O17 0.274 0.502 0.229
O18 0.229 0.274 0.502
O19 0.998 0.271 0.226
O20 0.729 0.774 0.998
O21 0.271 0.774 0.002
O22 0.502 0.229 0.274
O23 0.274 0.498 0.771
O24 0.726 0.498 0.229
Bi1 0.250 0.750 0.250
Bi2 0.750 0.750 0.750
Bi3 0.250 0.250 0.750
Bi4 0.750 0.250 0.250
In1 0.750 0.250 0.750
In2 0.250 0.750 0.750
In3 0.750 0.750 0.250
In4 0.250 0.250 0.250

=====

Computed, not measured: a relaxed CaTa2Cu2O8 crystal at the PBE-GGA level of DFT.

- E_tot (hartree per atom) = -0.286
- calculated volume (Å³/f.u.) = 194
- ρ (g/cm3) = 5.63
- ΔE_f (eV/atom) = -2.539
- total energy after the MP2020 corrections (eV for the cell shown) = -426.1

Unit cell a=8.995 b=6.817 c=12.646 alpha=88.01 beta=90.00 gamma=90.00
Fractional positions:
O1 0.922 0.193 0.959
O2 0.981 0.878 0.803
O3 0.236 0.025 0.383
O4 0.996 0.338 0.396
O5 0.736 0.975 0.117
O6 0.578 0.193 0.459
O7 0.264 0.025 0.883
O8 0.519 0.878 0.303
O9 0.622 0.308 0.214
O10 0.596 0.901 0.895
O11 0.766 0.568 0.897
O12 0.404 0.099 0.105
O13 0.904 0.901 0.395
O14 0.902 0.491 0.136
O15 0.098 0.509 0.864
O16 0.234 0.432 0.103
O17 0.878 0.308 0.714
O18 0.496 0.662 0.104
O19 0.764 0.975 0.617
O20 0.378 0.692 0.786
O21 0.122 0.692 0.286
O22 0.019 0.122 0.197
O23 0.004 0.662 0.604
O24 0.422 0.807 0.541
O25 0.598 0.491 0.636
O26 0.402 0.509 0.364
O27 0.096 0.099 0.605
O28 0.266 0.432 0.603
O29 0.078 0.807 0.041
O30 0.734 0.568 0.397
O31 0.481 0.122 0.697
O32 0.504 0.338 0.896
Ta1 0.460 0.094 0.844
Ta2 0.087 0.605 0.144
Ta3 0.040 0.094 0.344
Ta4 0.587 0.395 0.356
Ta5 0.960 0.906 0.656
Ta6 0.540 0.906 0.156
Ta7 0.913 0.395 0.856
Ta8 0.413 0.605 0.644
Cu1 0.819 0.232 0.144
Cu2 0.946 0.615 0.376
Cu3 0.181 0.768 0.856
Cu4 0.319 0.768 0.356
Cu5 0.054 0.385 0.624
Cu6 0.446 0.385 0.124
Cu7 0.554 0.615 0.876
Cu8 0.681 0.232 0.644
Ca1 0.839 0.872 0.960
Ca2 0.661 0.872 0.460
Ca3 0.161 0.128 0.040
Ca4 0.339 0.128 0.540